This record from the Materials Project describes an optimized crystal structure of Ba2InReO6. The functional is PBE-GGA.

a = 5.9074 Å, b = 5.9074 Å, c = 5.9074 Å
α = 60.00°, β = 60.00°, γ = 60.00°
Last column: nearest neighbours and their distance in Å.
Fractional coordinates of all 10 atoms:
Ba: 0.2500 0.2500 0.2500  12 O 2.96
Ba: 0.7500 0.7500 0.7500  12 O 2.96
In: 0.0000 0.0000 0.0000  6 O 2.18
Re: 0.5000 0.5000 0.5000  6 O 2.00
O: 0.2610 0.2610 0.7390  1 Re 2.00, 1 In 2.18
O: 0.2610 0.7390 0.2610  1 Re 2.00, 1 In 2.18
O: 0.2610 0.7390 0.7390  1 Re 2.00, 1 In 2.18
O: 0.7390 0.2610 0.2610  1 Re 2.00, 1 In 2.18
O: 0.7390 0.2610 0.7390  1 Re 2.00, 1 In 2.18
O: 0.7390 0.7390 0.2610  1 Re 2.00, 1 In 2.18

Output
As for the size of the total moment: 2.00 μB/cell. The symmetry is Fm-3m. For the energy of formation, the calculation gives -2491 meV/atom.

This record from the Materials Project describes an optimized crystal structure of Mg3S2O10. The functional is PBE-GGA.

a = 7.5562 Å, b = 7.5562 Å, c = 13.1022 Å
α = 90.00°, β = 90.00°, γ = 90.00°
Last column: nearest neighbours and their distance in Å.
Fractional coordinates of all 60 atoms:
Mg: 0.0977 0.3477 0.2536  6 O 2.02-2.25
Mg: 0.1172 0.1172 0.5000  6 O 2.03-2.14
Mg: 0.1523 0.5977 0.0036  6 O 2.02-2.25
Mg: 0.3477 0.0977 0.7464  6 O 2.02-2.25
Mg: 0.3828 0.6172 0.2500  6 O 2.03-2.14
Mg: 0.4023 0.8477 0.4964  6 O 2.02-2.25
Mg: 0.5977 0.1523 0.9964  6 O 2.02-2.25
Mg: 0.6172 0.3828 0.7500  6 O 2.03-2.14
Mg: 0.6523 0.9023 0.2464  6 O 2.02-2.25
Mg: 0.8477 0.4023 0.5036  6 O 2.02-2.25
Mg: 0.8828 0.8828 0.0000  6 O 2.03-2.14
Mg: 0.9023 0.6523 0.7536  6 O 2.02-2.25
S: 0.0043 0.7475 0.3724  4 O 1.46-1.51
S: 0.2475 0.4957 0.6224  4 O 1.46-1.51
S: 0.2525 0.9957 0.1276  4 O 1.46-1.51
S: 0.4957 0.2475 0.3776  4 O 1.46-1.51
S: 0.5043 0.7525 0.8776  4 O 1.46-1.51
S: 0.7475 0.0043 0.6276  4 O 1.46-1.51
S: 0.7525 0.5043 0.1224  4 O 1.46-1.51
S: 0.9957 0.2525 0.8724  4 O 1.46-1.51
O: 0.0020 0.2739 0.3928  3 Mg 2.03-2.10
O: 0.1050 0.1416 0.8053  1 S 1.47
O: 0.1055 0.3577 0.9416  1 S 1.46
O: 0.1198 0.6256 0.3100  1 S 1.51
O: 0.1256 0.3802 0.5600  1 S 1.51
O: 0.1262 0.8657 0.4324  1 S 1.50
O: 0.1343 0.8738 0.0676  1 S 1.50
O: 0.1416 0.1050 0.1947  1 S 1.47
O: 0.1423 0.6055 0.6916  1 S 1.46
O: 0.2261 0.5020 0.1428  3 Mg 2.03-2.10
O: 0.2739 0.0020 0.6072  3 Mg 2.03-2.10
O: 0.3577 0.1055 0.0584  1 S 1.46
O: 0.3584 0.6050 0.5553  1 S 1.47
O: 0.3657 0.3738 0.6824  1 S 1.50
O: 0.3738 0.3657 0.3176  1 S 1.50
O: 0.3744 0.8802 0.1900  1 S 1.51
O: 0.3802 0.1256 0.4400  1 S 1.51
O: 0.3950 0.6416 0.9447  1 S 1.47
O: 0.3945 0.8577 0.8084  1 S 1.46
O: 0.4980 0.7739 0.3572  3 Mg 2.03-2.10
O: 0.5020 0.2261 0.8572  3 Mg 2.03-2.10
O: 0.6055 0.1423 0.3084  1 S 1.46
O: 0.6050 0.3584 0.4447  1 S 1.47
O: 0.6198 0.8744 0.9400  1 S 1.51
O: 0.6256 0.1198 0.6900  1 S 1.51
O: 0.6262 0.6343 0.8176  1 S 1.50
O: 0.6343 0.6262 0.1824  1 S 1.50
O: 0.6416 0.3950 0.0553  1 S 1.47
O: 0.6423 0.8945 0.5584  1 S 1.46
O: 0.7261 0.9980 0.1072  3 Mg 2.03-2.10
O: 0.7739 0.4980 0.6428  3 Mg 2.03-2.10
O: 0.8577 0.3945 0.1916  1 S 1.46
O: 0.8584 0.8950 0.6947  1 S 1.47
O: 0.8657 0.1262 0.5676  1 S 1.50
O: 0.8738 0.1343 0.9324  1 S 1.50
O: 0.8744 0.6198 0.0600  1 S 1.51
O: 0.8802 0.3744 0.8100  1 S 1.51
O: 0.8945 0.6423 0.4416  1 S 1.46
O: 0.8950 0.8584 0.3053  1 S 1.47
O: 0.9980 0.7261 0.8928  3 Mg 2.03-2.10

Output
As for the size of the total moment: 8.01 μB/cell. The symmetry is P4_32_12. For the energy of formation, the calculation gives -2226 meV/atom.

This record from the Materials Project describes an optimized crystal structure of Na3LaTaSi2PO12. The functional is PBE-GGA.

a = 9.4370 Å, b = 9.4370 Å, c = 22.5610 Å
α = 90.56°, β = 89.44°, γ = 119.89°
Last column: nearest neighbours and their distance in Å.
Fractional coordinates of all 120 atoms:
Na: 0.9878 0.9873 0.4995  5 O 2.47-2.71
Na: 0.9831 0.3329 0.7492  3 O 2.39-2.50
Na: 0.3099 0.2950 0.9115  4 O 2.29-2.56
Na: 0.7050 0.6901 0.4115  4 O 2.29-2.56
Na: 0.9766 0.6283 0.2449  4 O 2.29-2.56
Na: 0.6793 0.3455 0.3328  5 O 2.47-2.71
Na: 0.3338 0.3502 0.5825  3 O 2.39-2.50
Na: 0.6498 0.6662 0.0825  3 O 2.39-2.50
Na: 0.0127 0.0122 0.9995  5 O 2.47-2.71
Na: 0.0005 0.6836 0.9159  3 O 2.39-2.50
Na: 0.6671 0.0169 0.2492  3 O 2.39-2.50
Na: 0.6545 0.3207 0.8328  5 O 2.47-2.71
Na: 0.3460 0.6789 0.6661  5 O 2.47-2.71
Na: 0.3164 0.9995 0.4159  3 O 2.39-2.50
Na: 0.6433 0.9617 0.5782  4 O 2.29-2.56
Na: 0.0383 0.3567 0.0782  4 O 2.29-2.56
Na: 0.3211 0.6540 0.1661  5 O 2.47-2.71
Na: 0.3717 0.0234 0.7449  4 O 2.29-2.56
O: 0.0319 0.8356 0.7010  1 P 1.62
O: 0.8720 0.0622 0.0829  1 P 1.58
O: 0.5453 0.8800 0.4794  1 Si 1.60
O: 0.1938 0.4821 0.2570  1 Si 1.67
O: 0.8960 0.3280 0.6447  1 P 1.51
O: 0.2120 0.2134 0.8127  1 Si 1.60
O: 0.4855 0.8556 0.3630  1 Si 1.75
O: 0.4647 0.0973 0.2415  1 P 1.53
O: 0.2293 0.9946 0.3113  1 P 1.51
O: 0.1444 0.5145 0.8630  1 Si 1.75
O: 0.4533 0.1213 0.6461  1 Si 1.60
O: 0.1345 0.6324 0.3571  1 Si 1.72
O: 0.1522 0.1890 0.6964  1 Si 1.75
O: 0.2360 0.2020 0.4082  1 P 1.53
O: 0.7009 0.5322 0.5238  1 Si 1.72
O: 0.9822 0.7976 0.4075  1 Si 1.61
O: 0.8046 0.0389 0.8040  1 Si 1.59
O: 0.8014 0.9962 0.4141  1 Si 1.61
O: 0.1845 0.1395 0.0903  1 Si 1.67
O: 0.1818 0.0482 0.5890  1 Si 1.69
O: 0.2024 0.0178 0.9075  1 Si 1.61
O: 0.3372 0.8653 0.5808  1 Si 1.61
O: 0.0038 0.1986 0.9141  1 Si 1.61
O: 0.5271 0.1488 0.9236  1 Si 1.67
O: 0.1314 0.4307 0.5749  1 P 1.53
O: 0.8605 0.8155 0.5903  1 Si 1.67
O: 0.1347 0.6628 0.0808  1 Si 1.61
O: 0.8110 0.8478 0.1964  1 Si 1.75
O: 0.7980 0.7640 0.9082  1 P 1.53
O: 0.6278 0.5287 0.6374  1 Si 1.59
O: 0.8188 0.5223 0.0297  1 Si 1.75
O: 0.5357 0.6845 0.5741  1 Si 1.61
O: 0.9611 0.1954 0.3040  1 Si 1.59
O: 0.3676 0.8655 0.8571  1 Si 1.72
O: 0.0054 0.7707 0.8113  1 P 1.51
O: 0.6720 0.1040 0.1447  1 P 1.51
O: 0.2851 0.4849 0.7557  1 Si 1.69
O: 0.5151 0.7149 0.2557  1 Si 1.69
O: 0.8485 0.3815 0.9223  1 Si 1.69
O: 0.8787 0.5467 0.1461  1 Si 1.60
O: 0.2944 0.8620 0.9707  1 Si 1.59
O: 0.2053 0.7289 0.7496  1 P 1.58
O: 0.9518 0.8182 0.0890  1 Si 1.69
O: 0.1200 0.4547 0.9794  1 Si 1.60
O: 0.5387 0.3955 0.4162  1 P 1.58
O: 0.6985 0.1689 0.0343  1 P 1.62
O: 0.3387 0.4374 0.4780  1 P 1.51
O: 0.6705 0.5319 0.2475  1 Si 1.61
O: 0.5693 0.8686 0.0749  1 P 1.53
O: 0.9027 0.5353 0.7415  1 P 1.53
O: 0.9378 0.1280 0.5829  1 P 1.58
O: 0.6045 0.4613 0.9162  1 P 1.58
O: 0.3652 0.5022 0.3677  1 P 1.62
O: 0.6488 0.1310 0.7408  1 Si 1.61
O: 0.5626 0.6613 0.9780  1 P 1.51
O: 0.4678 0.2991 0.0238  1 Si 1.72
O: 0.4777 0.1812 0.5297  1 Si 1.75
O: 0.1380 0.7056 0.4707  1 Si 1.59
O: 0.8012 0.9658 0.6904  1 Si 1.72
O: 0.7866 0.7880 0.3127  1 Si 1.60
O: 0.8512 0.4729 0.4236  1 Si 1.67
O: 0.1644 0.9681 0.2010  1 P 1.62
O: 0.4681 0.3295 0.7475  1 Si 1.61
O: 0.0342 0.1988 0.1904  1 Si 1.72
O: 0.3155 0.4643 0.0741  1 Si 1.61
O: 0.5179 0.8062 0.7570  1 Si 1.67
O: 0.4978 0.6348 0.8677  1 P 1.62
O: 0.4713 0.3722 0.1374  1 Si 1.59
O: 0.8690 0.3512 0.2408  1 Si 1.61
O: 0.8311 0.3015 0.5343  1 P 1.62
O: 0.6185 0.1515 0.4223  1 Si 1.69
O: 0.2711 0.7947 0.2496  1 P 1.58
Ta: 0.6760 0.3372 0.4820  5 O 1.97-2.05
Ta: 0.3295 0.6573 0.3153  5 O 1.97-2.05
Ta: 0.9961 0.9906 0.6487  5 O 1.97-2.05
Ta: 0.0094 0.0039 0.1487  5 O 1.97-2.05
Ta: 0.3427 0.6705 0.8153  5 O 1.97-2.05
Ta: 0.6628 0.3240 0.9820  5 O 1.97-2.05
Si: 0.6815 0.6433 0.5809  4 O 1.59-1.72
Si: 0.6901 0.9851 0.7475  4 O 1.59-1.72
Si: 0.3567 0.3185 0.0809  4 O 1.59-1.72
Si: 0.9548 0.6410 0.0854  4 O 1.60-1.75
Si: 0.2881 0.3077 0.7521  4 O 1.60-1.75
Si: 0.0234 0.6518 0.4142  4 O 1.59-1.72
Si: 0.3590 0.0452 0.5854  4 O 1.60-1.75
Si: 0.0149 0.3099 0.2475  4 O 1.59-1.72
Si: 0.3482 0.9766 0.9142  4 O 1.59-1.72
Si: 0.0257 0.3786 0.9188  4 O 1.60-1.75
Si: 0.6214 0.9743 0.4188  4 O 1.60-1.75
Si: 0.6923 0.7119 0.2521  4 O 1.60-1.75
P: 0.0311 0.7141 0.7515  4 O 1.51-1.62
P: 0.6978 0.0475 0.0848  4 O 1.51-1.62
P: 0.3644 0.3808 0.4181  4 O 1.51-1.62
P: 0.2859 0.9689 0.2515  4 O 1.51-1.62
P: 0.6192 0.6356 0.9181  4 O 1.51-1.62
P: 0.9525 0.3022 0.5848  4 O 1.51-1.62
La: 0.3174 0.6636 0.5155  6 O 2.18-2.42
La: 0.3364 0.6826 0.0155  6 O 2.18-2.42
La: 0.0030 0.0160 0.3488  6 O 2.18-2.42
La: 0.6507 0.3303 0.1822  6 O 2.18-2.42
La: 0.6697 0.3493 0.6822  6 O 2.18-2.42
La: 0.9840 0.9970 0.8488  6 O 2.18-2.42

Output
The excess energy over the best structure of this formula in the dataset is 0.002 eV/atom. As for the size of the total moment: 0.00 μB/cell. For the energy of formation, the calculation gives -2987 meV/atom.

This record from the Materials Project describes an optimized crystal structure of Ca28Ga11. The functional is PBE-GGA.

a = 30.9673 Å, b = 30.9673 Å, c = 30.9673 Å
α = 170.18°, β = 17.02°, γ = 166.14°
Last column: nearest neighbours and their distance in Å.
Fractional coordinates of all 39 atoms:
Ca: 0.0000 0.0000 0.0000  4 Ga 3.05-3.36
Ca: 0.0250 0.9421 0.0829  3 Ga 3.08-3.19
Ca: 0.0870 0.8809 0.2060  3 Ga 3.13-3.28, 1 Ca 3.50
Ca: 0.1956 0.5783 0.6173  3 Ga 3.16-3.23, 3 Ca 3.52-3.54
Ca: 0.2723 0.4546 0.8178  4 Ga 3.05-3.36
Ca: 0.2968 0.5590 0.7378  3 Ga 3.09-3.13
Ca: 0.3015 0.0256 0.2760  3 Ga 3.09-3.30
Ca: 0.3134 0.6374 0.6761  1 Ga 3.05
Ca: 0.3163 0.8163 0.5000  1 Ga 3.04
Ca: 0.3204 0.8804 0.4400  3 Ga 3.13-3.15
Ca: 0.3723 0.4690 0.9033  3 Ga 3.10-3.24
Ca: 0.3825 0.0197 0.3628  4 Ga 3.07-3.35
Ca: 0.4404 0.8804 0.5600  3 Ga 3.13-3.15
Ca: 0.5656 0.4690 0.0967  3 Ga 3.10-3.24
Ca: 0.5655 0.5954 0.9701  3 Ga 3.08-3.36
Ca: 0.6254 0.5954 0.0299  3 Ga 3.08-3.36
Ca: 0.6368 0.4546 0.1822  4 Ga 3.05-3.36
Ca: 0.6569 0.0197 0.6372  4 Ga 3.07-3.35
Ca: 0.6749 0.8809 0.7940  3 Ga 3.13-3.28, 1 Ca 3.50
Ca: 0.6946 0.8414 0.8532  1 Ga 3.06
Ca: 0.7496 0.0256 0.7240  3 Ga 3.09-3.30
Ca: 0.8212 0.5590 0.2622  3 Ga 3.09-3.13
Ca: 0.8592 0.9421 0.9171  3 Ga 3.08-3.19
Ca: 0.8848 0.4282 0.4565  4 Ga 3.07-3.33
Ca: 0.9609 0.5783 0.3827  3 Ga 3.16-3.23, 3 Ca 3.52-3.54
Ca: 0.9613 0.6374 0.3239  1 Ga 3.05
Ca: 0.9717 0.4282 0.5435  4 Ga 3.07-3.33
Ca: 0.9883 0.8414 0.1468  1 Ga 3.06
Ga: 0.0362 0.2632 0.7730  7 Ca 3.09-3.30
Ga: 0.1069 0.2462 0.8606  7 Ca 3.05-3.35
Ga: 0.1549 0.1984 0.9565  7 Ca 3.05-3.33
Ga: 0.2419 0.1984 0.0435  7 Ca 3.05-3.33
Ga: 0.3856 0.2462 0.1394  7 Ca 3.05-3.35
Ga: 0.4902 0.2632 0.2270  7 Ca 3.09-3.30
Ga: 0.5506 0.2308 0.3198  7 Ca 3.05-3.36
Ga: 0.6239 0.2148 0.4091  8 Ca 3.13-3.31
Ga: 0.7232 0.2232 0.5000  9 Ca 3.04-3.36
Ga: 0.8057 0.2148 0.5909  8 Ca 3.13-3.31
Ga: 0.9109 0.2308 0.6802  7 Ca 3.05-3.36

Output
The symmetry is Imm2. For the energy of formation, the calculation gives -276 meV/atom.